Entry 1:
Here is a relaxed structure of Eu2HoTaO6 from the Materials Project. Energies are from GGA-PBE.

Lattice parameters (Å, degrees): 8.3878 8.3878 8.3878 90.00 90.00 90.00
Space group Fm-3m (No. 225)
Inequivalent atoms, fractional coordinates:
Eu1 0.2500 0.2500 0.2500 x8
Ho1 0.0000 0.0000 0.0000 x4
Ta1 0.0000 0.0000 0.5000 x4
O1 0.0000 0.0000 0.2622 x24

Properties
formation energy from the elements = -3496 meV per atom



Entry 2:
Here is a relaxed structure of La3NbO7 from the Materials Project. Energies are from GGA-PBE.

Lattice parameters (Å, degrees): 7.8311 11.1816 7.7900 90.00 90.00 90.00
Space group Pnma (No. 62)
Inequivalent atoms, fractional coordinates:
La1 0.0084 0.2500 0.2142 x4
La2 0.2490 0.5225 0.0436 x8
Nb1 0.0071 0.2500 0.7474 x4
O1 0.0316 0.1282 0.9506 x8
O2 0.0382 0.6166 0.4095 x8
O3 0.2465 0.6180 0.7721 x8
O4 0.2469 0.2500 0.6816 x4

Properties
formation energy from the elements = -3724 meV per atom